1.
A geometry-optimized Bi4B3O12 structure, computed with PBE. Values from VASP.

Summary:
ΔE_f in eV/atom: -1.97
SG: I-43d, No. 220
Calculated volume in Å³ per atom: 12.4
Polymorph energy (0 for the lowest one) in meV/atom: 0

```
&SYSTEM
  ibrav = 0, nat = 38, ntyp = 3
/
ATOMIC_SPECIES
Bi 208.98 Bi.upf
B 10.81 B.upf
O 16.00 O.upf
ATOMIC_POSITIONS angstrom
Bi -0.7281 5.6271 4.1709
Bi 1.7214 3.1776 6.6204
Bi 0.7281 0.7281 0.7281
Bi 5.6271 4.1709 -0.7281
Bi -0.7281 4.1709 0.7281
Bi 1.7214 6.6204 -1.7214
Bi 3.1776 3.1776 3.1776
Bi 3.1776 6.6204 1.7214
B 7.3485 1.2247 0.0000
B 3.6742 0.0000 2.4495
B 2.4495 3.6742 0.0000
B 0.0000 2.4495 3.6742
B 1.2247 0.0000 7.3485
B 0.0000 7.3485 1.2247
O 5.4043 3.5906 -2.8773
O 4.4711 -1.1411 1.9442
O 6.2074 2.0216 -0.5053
O 6.8432 0.4278 1.1411
O 2.8773 0.5053 1.3084
O 3.5906 2.8773 -0.5053
O 3.5906 -2.8773 5.4043
O 2.8773 -0.5053 3.5906
O 1.9442 4.4711 -1.1411
O 1.3084 2.8773 0.5053
O 4.4711 1.1411 2.9548
O 0.5053 1.3084 2.8773
O 2.9548 4.4711 1.1411
O 2.0216 -0.5053 6.2074
O -1.1411 1.9442 4.4711
O -0.5053 3.5906 2.8773
O 5.3268 3.7579 2.9548
O 1.1411 6.8432 0.4278
O 1.1411 2.9548 4.4711
O 0.4278 1.1411 6.8432
O -0.5053 6.2074 2.0216
O 3.7579 2.9548 5.3268
O -2.8773 5.4043 3.5906
O 2.9548 5.3268 3.7579
CELL_PARAMETERS angstrom
-4.8990 4.8990 4.8990
4.8990 -4.8990 4.8990
4.8990 4.8990 -4.8990
```

---

2.
A geometry-optimized Na2Sr2Al2PO4F9 structure, computed with PBE. Values from VASP.

Summary:
ΔE_f in eV/atom: -3.61
SG: P2_1/c, No. 14
Calculated volume in Å³ per atom: 12.7

```
&SYSTEM
  ibrav = 0, nat = 80, ntyp = 6
/
ATOMIC_SPECIES
Na 22.99 Na.upf
Sr 87.62 Sr.upf
Al 26.98 Al.upf
P 30.97 P.upf
O 16.00 O.upf
F 19.00 F.upf
ATOMIC_POSITIONS angstrom
Na -2.4016 2.3401 8.6467
Na -4.9049 2.9745 17.6321
Na -0.0037 2.5822 6.6160
Na -2.5070 2.7323 15.6014
Na 2.8388 7.8968 2.3693
Na 0.3356 8.0469 11.3547
Na 5.2368 7.6546 0.3387
Na 2.7335 8.2890 9.3241
Sr 0.0462 0.3891 2.5704
Sr -2.4571 4.9254 11.5557
Sr -2.4094 0.4127 12.0123
Sr 0.0938 4.9019 3.0269
Sr 0.2380 5.7272 14.9438
Sr 2.7413 10.2164 5.9584
Sr 2.7889 5.7037 6.4150
Sr 0.2856 10.2400 15.4004
Al -2.1841 7.9404 13.3166
Al 0.3192 8.0032 4.3312
Al 2.6692 0.0000 0.0000
Al 0.1659 0.0000 8.9854
Al 2.6692 5.3146 0.0000
Al 0.1659 5.3146 8.9854
Al 0.0127 2.6259 13.6395
Al 2.5159 2.6887 4.6542
P -0.0588 7.9760 7.3585
P -2.5621 7.9677 16.3439
P 2.8939 2.6615 1.6269
P 0.3907 2.6531 10.6123
O -4.0945 7.9112 16.1581
O -1.5912 8.0325 7.1727
O -1.8221 7.4231 15.0773
O 0.6812 8.5205 6.0919
O -0.0680 1.8373 9.3822
O 2.4353 3.4772 0.3968
O 0.4486 6.5154 7.5424
O -2.0547 9.4283 16.5278
O 2.3866 1.2008 1.4430
O -0.1167 4.1137 10.4284
O -2.1034 7.1519 17.5740
O 0.3999 8.7918 8.5886
O -0.3493 2.1086 11.8789
O 2.1540 3.2060 2.8935
O 1.9231 2.5966 10.7980
O 4.4264 2.7179 1.8126
F -3.5263 6.7055 13.1616
F -1.0231 9.2382 4.1762
F -0.8231 6.6422 4.7391
F -3.3263 9.3014 13.7245
F 0.0499 7.5850 2.5755
F -2.4534 8.3586 11.5609
F -3.4774 0.9703 16.8699
F -0.9741 4.3442 7.8846
F 1.1019 5.6744 0.8630
F -1.4014 10.2693 9.8484
F -0.7112 0.3610 7.3963
F -3.2145 4.9535 16.3816
F -1.2461 6.2687 9.6512
F 1.2572 9.6749 0.6658
F 1.1526 1.4389 4.6783
F -1.3506 3.8757 13.6636
F -0.9898 6.6366 12.7789
F 1.5135 9.3071 3.7935
F -1.1816 1.3220 14.1772
F 1.3217 3.9925 5.1919
F 1.6825 6.7535 4.3071
F -0.8208 9.1902 13.2925
F -0.9253 0.9542 17.3049
F 1.5780 4.3604 8.3195
F 3.5464 5.6756 1.5891
F 1.0431 10.2681 10.5745
F 1.7333 0.3598 8.1223
F -0.7700 4.9547 17.1077
F 1.3060 6.2849 10.0862
F 3.8093 9.6588 1.1008
F 2.7853 2.2705 6.4099
F 0.2820 3.0441 15.3952
F 3.6582 1.3277 4.2463
F 1.1549 3.9869 13.2317
F 1.3549 1.3909 13.7945
F 3.8582 3.9236 4.8091
CELL_PARAMETERS angstrom
5.3385 0.0000 0.0000
0.0000 10.6291 0.0000
-5.0066 0.0000 17.9707
```

---

3.
A geometry-optimized TiCrCuS4 structure, computed with PBE. Values from VASP.

Summary:
ΔE_f in eV/atom: -1.11
SG: P2, No. 3
Calculated volume in Å³ per atom: 17.0
Polymorph energy (0 for the lowest one) in meV/atom: 72

```
&SYSTEM
  ibrav = 0, nat = 14, ntyp = 4
/
ATOMIC_SPECIES
Ti 47.87 Ti.upf
Cr 52.00 Cr.upf
Cu 63.55 Cu.upf
S 32.06 S.upf
ATOMIC_POSITIONS angstrom
Ti 0.0000 0.0000 0.0000
Ti -0.1088 1.8270 2.9522
Cr 0.0000 3.4489 0.0000
Cr -0.1088 5.2363 2.9522
Cu 2.9327 0.0389 0.0000
Cu 2.9327 3.5038 0.0000
S 1.2143 3.5271 4.0000
S 1.2501 0.0610 3.9744
S 1.3690 5.1751 1.0465
S 1.4069 1.7851 1.0241
S 4.2410 1.7851 4.8802
S 4.2788 5.1751 4.8578
S 4.3978 0.0610 1.9299
S 4.4335 3.5271 1.9043
CELL_PARAMETERS angstrom
5.8655 0.0000 0.0000
0.0000 6.8640 0.0000
-0.2176 0.0000 5.9043
```

---

4.
A geometry-optimized HoNiGe structure, computed with PBE. Values from VASP.

Summary:
ΔE_f in eV/atom: -0.80
SG: Pnma, No. 62
Calculated volume in Å³ per atom: 17.7

```
&SYSTEM
  ibrav = 0, nat = 12, ntyp = 3
/
ATOMIC_SPECIES
Ho 164.93 Ho.upf
Ni 58.69 Ni.upf
Ge 72.64 Ge.upf
ATOMIC_POSITIONS angstrom
Ho 0.0558 1.0564 1.5065
Ho 3.3934 3.1692 5.1443
Ho 3.5050 1.0564 2.1313
Ho 6.8426 3.1692 5.7691
Ni 1.3575 3.1692 3.0484
Ni 2.0917 1.0564 6.6862
Ni 4.8067 3.1692 0.5894
Ni 5.5409 1.0564 4.2272
Ge 1.3550 1.0564 4.2876
Ge 2.0942 3.1692 0.6498
Ge 4.8042 1.0564 6.6258
Ge 5.5434 3.1692 2.9880
CELL_PARAMETERS angstrom
6.8984 0.0000 0.0000
0.0000 4.2256 0.0000
0.0000 0.0000 7.2756
```

---

5.
A geometry-optimized BaBi4Br2O6 structure, computed with PBE. Values from VASP.

Summary:
ΔE_f in eV/atom: -1.69
SG: I4/mmm, No. 139
Calculated volume in Å³ per atom: 21.1

```
&SYSTEM
  ibrav = 0, nat = 13, ntyp = 4
/
ATOMIC_SPECIES
Ba 137.33 Ba.upf
Bi 208.98 Bi.upf
Br 79.90 Br.upf
O 16.00 O.upf
ATOMIC_POSITIONS angstrom
Ba 0.0000 0.0000 0.0000
Bi 0.0000 0.0000 9.6587
Bi 0.0000 0.0000 14.0471
Bi 0.0000 0.0000 19.6950
Bi 0.0000 0.0000 24.0834
Br 0.0000 0.0000 5.6302
Br 0.0000 0.0000 28.1119
O 2.0139 0.0000 1.8786
O 2.0139 0.0000 8.4355
O 2.0139 0.0000 14.9924
O 0.0000 2.0139 1.8786
O 0.0000 2.0139 8.4355
O 0.0000 2.0139 14.9924
CELL_PARAMETERS angstrom
-2.0139 2.0139 16.8710
2.0139 -2.0139 16.8710
2.0139 2.0139 -16.8710
```

---

6.
A geometry-optimized TiH2O2 structure, computed with PBE. Values from VASP.

Summary:
ΔE_f in eV/atom: -1.61
SG: Pnnm, No. 58
Calculated volume in Å³ per atom: 8.5

```
&SYSTEM
  ibrav = 0, nat = 10, ntyp = 3
/
ATOMIC_SPECIES
Ti 47.87 Ti.upf
H 1.01 H.upf
O 16.00 O.upf
ATOMIC_POSITIONS angstrom
Ti 0.0000 0.0000 0.0000
Ti 2.4341 2.8534 1.5384
H 0.1072 1.9626 1.5384
H 2.3269 4.8160 0.0000
H 2.5414 0.8908 0.0000
H 4.7610 3.7442 1.5384
O 0.7105 4.2961 1.5384
O 1.7236 1.4427 0.0000
O 3.1447 4.2641 0.0000
O 4.1577 1.4107 1.5384
CELL_PARAMETERS angstrom
4.8683 0.0000 0.0000
0.0000 5.7068 0.0000
0.0000 0.0000 3.0767
```

---

What did the first record say?
A geometry-optimized Bi4B3O12 structure, computed with PBE. Values from VASP.

Summary:
ΔE_f in eV/atom: -1.97
SG: I-43d, No. 220
Calculated volume in Å³ per atom: 12.4
Polymorph energy (0 for the lowest one) in meV/atom: 0

```
&SYSTEM
  ibrav = 0, nat = 38, ntyp = 3
/
ATOMIC_SPECIES
Bi 208.98 Bi.upf
B 10.81 B.upf
O 16.00 O.upf
ATOMIC_POSITIONS angstrom
Bi -0.7281 5.6271 4.1709
Bi 1.7214 3.1776 6.6204
Bi 0.7281 0.7281 0.7281
Bi 5.6271 4.1709 -0.7281
Bi -0.7281 4.1709 0.7281
Bi 1.7214 6.6204 -1.7214
Bi 3.1776 3.1776 3.1776
Bi 3.1776 6.6204 1.7214
B 7.3485 1.2247 0.0000
B 3.6742 0.0000 2.4495
B 2.4495 3.6742 0.0000
B 0.0000 2.4495 3.6742
B 1.2247 0.0000 7.3485
B 0.0000 7.3485 1.2247
O 5.4043 3.5906 -2.8773
O 4.4711 -1.1411 1.9442
O 6.2074 2.0216 -0.5053
O 6.8432 0.4278 1.1411
O 2.8773 0.5053 1.3084
O 3.5906 2.8773 -0.5053
O 3.5906 -2.8773 5.4043
O 2.8773 -0.5053 3.5906
O 1.9442 4.4711 -1.1411
O 1.3084 2.8773 0.5053
O 4.4711 1.1411 2.9548
O 0.5053 1.3084 2.8773
O 2.9548 4.4711 1.1411
O 2.0216 -0.5053 6.2074
O -1.1411 1.9442 4.4711
O -0.5053 3.5906 2.8773
O 5.3268 3.7579 2.9548
O 1.1411 6.8432 0.4278
O 1.1411 2.9548 4.4711
O 0.4278 1.1411 6.8432
O -0.5053 6.2074 2.0216
O 3.7579 2.9548 5.3268
O -2.8773 5.4043 3.5906
O 2.9548 5.3268 3.7579
CELL_PARAMETERS angstrom
-4.8990 4.8990 4.8990
4.8990 -4.8990 4.8990
4.8990 4.8990 -4.8990
```